K4US3O14 | PBE | optimized geometry

Cell lengths 9.3971, 13.4108, 23.6508 Å; angles 90.00, 90.00, 90.00 degrees
Closest atoms and distances in Å follow each position.
Atoms (fractional coordinates):
O 0.8859 0.8393 0.2500  1 S 1.46
O 0.3702 0.8398 0.1987  1 S 1.52
O 0.0401 0.6625 0.5910  1 U 1.83
O 0.2842 0.4142 0.5012  1 S 1.47
O 0.3493 0.5298 0.9236  1 S 1.48
O 0.1355 0.5755 0.3787  1 S 1.48
O 0.8645 0.4245 0.6213  1 S 1.48
O 0.7105 0.6426 0.1002  1 S 1.53
O 0.3645 0.0755 0.1213  1 S 1.48
O 0.1141 0.1607 0.7500  1 S 1.46
O 0.4268 0.1777 0.0396  1 S 1.48
O 0.1298 0.3398 0.1987  1 S 1.52
O 0.5085 0.3890 0.5545  1 S 1.51
O 0.6880 0.1635 0.2500  1 S 1.47
O 0.2142 0.9520 0.2500  1 S 1.46
O 0.5732 0.8223 0.9604  1 S 1.48
O 0.3702 0.8398 0.3013  1 S 1.52
O 0.6744 0.7894 0.3017  1 S 1.53
O 0.7158 0.5858 0.0012  1 S 1.47
O 0.1880 0.3365 0.7500  1 S 1.47
O 0.0385 0.1249 0.3188  1 U 1.80
O 0.0269 0.7396 0.1352  1 S 1.47
O 0.9915 0.8890 0.5545  1 S 1.51
O 0.7158 0.5858 0.4988  1 S 1.47
O 0.2105 0.8574 0.6002  1 S 1.53
O 0.7842 0.0858 0.0012  1 S 1.47
O 0.2158 0.9142 0.5012  1 S 1.47
O 0.2312 0.2296 0.1000  1 S 1.55
O 0.8493 0.9702 0.0764  1 S 1.48
O 0.0269 0.7396 0.3648  1 S 1.47
O 0.9268 0.3223 0.9604  1 S 1.48
O 0.2158 0.9142 0.9988  1 S 1.47
O 0.6355 0.9245 0.6213  1 S 1.48
O 0.6298 0.1602 0.6987  1 S 1.52
O 0.7895 0.1426 0.3998  1 S 1.53
O 0.5085 0.3890 0.9455  1 S 1.51
O 0.9268 0.3223 0.5396  1 S 1.48
O 0.7858 0.0480 0.7500  1 S 1.46
O 0.0085 0.1110 0.4455  1 S 1.51
O 0.8120 0.6635 0.2500  1 S 1.47
O 0.9731 0.2604 0.6352  1 S 1.47
O 0.4915 0.6110 0.0545  1 S 1.51
O 0.9599 0.3375 0.4090  1 U 1.83
O 0.4615 0.6249 0.3188  1 U 1.80
O 0.0732 0.6777 0.0396  1 S 1.48
O 0.0732 0.6777 0.4604  1 S 1.48
O 0.5269 0.7604 0.8648  1 S 1.47
O 0.3859 0.6607 0.7500  1 S 1.46
O 0.9615 0.8751 0.8188  1 U 1.80
O 0.7895 0.1426 0.1002  1 S 1.53
O 0.8702 0.6602 0.6987  1 S 1.52
O 0.4599 0.1625 0.9090  1 U 1.83
O 0.0303 0.4826 0.2500  1 S 1.48
O 0.5385 0.3751 0.6812  1 U 1.80
O 0.4697 0.9826 0.2500  1 S 1.48
O 0.4915 0.6110 0.4455  1 S 1.51
O 0.8256 0.2894 0.1983  1 S 1.53
O 0.0385 0.1249 0.1812  1 U 1.80
O 0.1744 0.7106 0.8017  1 S 1.53
O 0.1298 0.3398 0.3013  1 S 1.52
O 0.5303 0.0174 0.7500  1 S 1.48
O 0.5385 0.3751 0.8188  1 U 1.80
O 0.5732 0.8223 0.5396  1 S 1.48
O 0.3493 0.5298 0.5764  1 S 1.48
O 0.7842 0.0858 0.4988  1 S 1.47
O 0.8645 0.4245 0.8787  1 S 1.48
O 0.2842 0.4142 0.9988  1 S 1.47
O 0.7688 0.7704 0.6000  1 S 1.55
O 0.1507 0.0298 0.5764  1 S 1.48
O 0.2895 0.3574 0.8998  1 S 1.53
O 0.7142 0.5480 0.7500  1 S 1.46
O 0.6298 0.1602 0.8013  1 S 1.52
O 0.6507 0.4702 0.0764  1 S 1.48
O 0.7105 0.6426 0.3998  1 S 1.53
O 0.6355 0.9245 0.8787  1 S 1.48
O 0.2688 0.7296 0.1000  1 S 1.55
O 0.6744 0.7894 0.1983  1 S 1.53
O 0.9599 0.3375 0.0910  1 U 1.83
O 0.4615 0.6249 0.1812  1 U 1.80
O 0.2688 0.7296 0.4000  1 S 1.55
O 0.1355 0.5755 0.1213  1 S 1.48
O 0.4731 0.2396 0.1352  1 S 1.47
O 0.7688 0.7704 0.9000  1 S 1.55
O 0.2895 0.3574 0.6002  1 S 1.53
O 0.3645 0.0755 0.3787  1 S 1.48
O 0.6141 0.3393 0.2500  1 S 1.46
O 0.7312 0.2704 0.9000  1 S 1.55
O 0.6507 0.4702 0.4236  1 S 1.48
O 0.8702 0.6602 0.8013  1 S 1.52
O 0.4268 0.1777 0.4604  1 S 1.48
O 0.9731 0.2604 0.8648  1 S 1.47
O 0.5401 0.8375 0.0910  1 U 1.83
O 0.5401 0.8375 0.4090  1 U 1.83
O 0.9915 0.8890 0.9455  1 S 1.51
O 0.3120 0.8365 0.7500  1 S 1.47
O 0.1744 0.7106 0.6983  1 S 1.53
O 0.5269 0.7604 0.6352  1 S 1.47
O 0.0401 0.6625 0.9090  1 U 1.83
O 0.8256 0.2894 0.3017  1 S 1.53
O 0.8493 0.9702 0.4236  1 S 1.48
O 0.4599 0.1625 0.5910  1 U 1.83
O 0.4731 0.2396 0.3648  1 S 1.47
O 0.7312 0.2704 0.6000  1 S 1.55
O 0.9615 0.8751 0.6812  1 U 1.80
O 0.0085 0.1110 0.0545  1 S 1.51
O 0.1507 0.0298 0.9236  1 S 1.48
O 0.9697 0.5174 0.7500  1 S 1.48
O 0.3256 0.2106 0.8017  1 S 1.53
O 0.2105 0.8574 0.8998  1 S 1.53
O 0.2312 0.2296 0.4000  1 S 1.55
O 0.3256 0.2106 0.6983  1 S 1.53
O 0.2858 0.4520 0.2500  1 S 1.46
K 0.6384 0.5617 0.8735  9 O 2.81-3.12
K 0.0000 0.5000 0.0000  4 O 2.65-2.91
K 0.1612 0.4936 0.8319  4 O 2.66-2.87
K 0.5000 0.0000 0.0000  4 O 2.65-2.91
K 0.8616 0.0617 0.8735  9 O 2.81-3.12
K 0.8388 0.5064 0.1681  4 O 2.66-2.87
K 0.8775 0.3151 0.7500  5 O 2.85-3.04
K 0.8275 0.7882 0.4740  7 O 2.72-3.04
K 0.6384 0.5617 0.6265  9 O 2.81-3.12
K 0.3275 0.7118 0.5260  7 O 2.72-3.04
K 0.3275 0.7118 0.9740  7 O 2.72-3.04
K 0.3388 0.9936 0.6681  4 O 2.66-2.87
K 0.8616 0.0617 0.6265  9 O 2.81-3.12
K 0.6612 0.0064 0.3319  4 O 2.66-2.87
K 0.3388 0.9936 0.8319  4 O 2.66-2.87
K 0.1725 0.2118 0.5260  7 O 2.72-3.04
K 0.6612 0.0064 0.1681  4 O 2.66-2.87
K 0.3616 0.4383 0.1265  9 O 2.81-3.12
K 0.1725 0.2118 0.9740  7 O 2.72-3.04
K 0.1384 0.9383 0.3735  9 O 2.81-3.12
K 0.6225 0.8151 0.7500  5 O 2.85-3.04
K 0.6725 0.2882 0.0260  7 O 2.72-3.04
K 0.5000 0.0000 0.5000  4 O 2.65-2.91
K 0.8388 0.5064 0.3319  4 O 2.66-2.87
K 0.1225 0.6849 0.2500  5 O 2.85-3.04
K 0.3616 0.4383 0.3735  9 O 2.81-3.12
K 0.3775 0.1849 0.2500  5 O 2.85-3.04
K 0.6725 0.2882 0.4740  7 O 2.72-3.04
K 0.0000 0.5000 0.5000  4 O 2.65-2.91
K 0.1612 0.4936 0.6681  4 O 2.66-2.87
K 0.8275 0.7882 0.0260  7 O 2.72-3.04
K 0.1384 0.9383 0.1265  9 O 2.81-3.12
S 0.1206 0.6782 0.4006  4 O 1.47-1.55
S 0.6437 0.5740 0.0558  4 O 1.47-1.53
S 0.6437 0.5740 0.4442  4 O 1.47-1.53
S 0.7678 0.7690 0.2500  4 O 1.46-1.53
S 0.3552 0.9071 0.2500  4 O 1.46-1.52
S 0.2322 0.2310 0.7500  4 O 1.46-1.53
S 0.1437 0.9260 0.5558  4 O 1.47-1.53
S 0.1437 0.9260 0.9442  4 O 1.47-1.53
S 0.6206 0.8218 0.9006  4 O 1.47-1.55
S 0.3563 0.4260 0.5558  4 O 1.47-1.53
S 0.3794 0.1782 0.4006  4 O 1.47-1.55
S 0.8552 0.5929 0.7500  4 O 1.46-1.52
S 0.1448 0.4071 0.2500  4 O 1.46-1.52
S 0.1206 0.6782 0.0994  4 O 1.47-1.55
S 0.8794 0.3218 0.5994  4 O 1.47-1.55
S 0.6448 0.0929 0.7500  4 O 1.46-1.52
S 0.3794 0.1782 0.0994  4 O 1.47-1.55
S 0.8563 0.0740 0.4442  4 O 1.47-1.53
S 0.8563 0.0740 0.0558  4 O 1.47-1.53
S 0.2678 0.7310 0.7500  4 O 1.46-1.53
S 0.8794 0.3218 0.9006  4 O 1.47-1.55
S 0.6206 0.8218 0.5994  4 O 1.47-1.55
S 0.7322 0.2690 0.2500  4 O 1.46-1.53
S 0.3563 0.4260 0.9442  4 O 1.47-1.53
U 0.4966 0.7317 0.3630  2 O 1.80-1.83
U 0.9966 0.7683 0.6370  2 O 1.80-1.83
U 0.9966 0.7683 0.8630  2 O 1.80-1.83
U 0.5034 0.2683 0.8630  2 O 1.80-1.83
U 0.0034 0.2317 0.3630  2 O 1.80-1.83
U 0.5034 0.2683 0.6370  2 O 1.80-1.83
U 0.0034 0.2317 0.1370  2 O 1.80-1.83
U 0.4966 0.7317 0.1370  2 O 1.80-1.83

Properties
Formation energy, eV per atom: -2.4648
Space group: Pnma



PrDyC4 | PBE | optimized geometry

Cell lengths 3.7813, 3.7813, 6.3794 Å; angles 90.00, 90.00, 90.00 degrees
Closest atoms and distances in Å follow each position.
Atoms (fractional coordinates):
Dy 0.5000 0.5000 0.5000  10 C 2.54-2.75
C 0.0000 0.0000 0.6013  1 C 1.29
C 0.5000 0.5000 0.8975  1 C 1.31
C 0.0000 0.0000 0.3987  1 C 1.29
C 0.5000 0.5000 0.1025  1 C 1.31
Pr 0.0000 0.0000 0.0000  10 C 2.54-2.75

Properties
Formation energy, eV per atom: -0.1157
Space group: P4/mmm



VCr2Te4 | PBE | optimized geometry

Cell lengths 4.0059, 6.9906, 7.2723 Å; angles 117.50, 105.99, 90.00 degrees
Closest atoms and distances in Å follow each position.
Atoms (fractional coordinates):
Te 0.6313 0.9706 0.2626  2 V 2.79, 3 Cr 2.80-2.85
Te 0.1204 0.4513 0.2407  3 Cr 2.72-2.75, 1 V 2.77
Te 0.3687 0.0294 0.7374  2 V 2.79, 3 Cr 2.80-2.85
Te 0.8796 0.5487 0.7593  3 Cr 2.72-2.75, 1 V 2.77
Cr 0.2596 0.2769 0.5191  6 Te 2.72-2.85
Cr 0.7404 0.7231 0.4809  6 Te 2.72-2.85
V 0.0000 0.0000 0.0000  6 Te 2.77-2.79

Properties
ΔE to the lowest computed polymorph, meV/atom: 0.0
Formation energy, eV per atom: -0.4720
Space group: C2/m



U3Ga2Si3 | PBE | optimized geometry

Cell lengths 7.6683, 7.5410, 7.3539 Å; angles 61.96, 60.22, 57.82 degrees
Closest atoms and distances in Å follow each position.
Atoms (fractional coordinates):
Ga 0.0074 0.4926 0.4926  2 Si 2.55-2.56
Ga 0.5074 0.9926 0.9926  2 Si 2.55-2.56
Ga 0.0110 0.9890 0.2646  3 Si 2.52-2.53
Ga 0.7354 0.2646 0.9890  3 Si 2.52-2.53
Si 0.3320 0.6680 0.3725  1 Ga 2.52
Si 0.6275 0.3725 0.6680  1 Ga 2.52
Si 0.2581 0.2419 0.2419  2 Ga 2.55-2.56
Si 0.1410 0.1667 0.8590  2 Ga 2.53, 1 U 2.81
Si 0.7581 0.7419 0.7419  2 Ga 2.55-2.56
Si 0.8333 0.8590 0.1667  2 Ga 2.53, 1 U 2.81
U 0.5119 0.1842 0.4881  1 U 2.60, 1 Si 2.81
U 0.4482 0.8500 0.5518  3 U 2.60-2.63, 3 Si 2.90-2.91
U 0.0255 0.9745 0.6627  2 U 2.63, 1 Si 2.93, 1 Ga 2.93
U 0.1500 0.5518 0.8500  3 U 2.60-2.63, 3 Si 2.90-2.91
U 0.3373 0.6627 0.9745  2 U 2.63, 1 Si 2.93, 1 Ga 2.93
U 0.8158 0.4881 0.1842  1 U 2.60, 1 Si 2.81

Properties
ΔE to the lowest computed polymorph, meV/atom: 124.3
Formation energy, eV per atom: -0.0864
Space group: Fmm2



Q: Which formula does entry 2 have?
A: PrDyC4



What did the second record say?
PrDyC4 | PBE | optimized geometry

Cell lengths 3.7813, 3.7813, 6.3794 Å; angles 90.00, 90.00, 90.00 degrees
Closest atoms and distances in Å follow each position.
Atoms (fractional coordinates):
Dy 0.5000 0.5000 0.5000  10 C 2.54-2.75
C 0.0000 0.0000 0.6013  1 C 1.29
C 0.5000 0.5000 0.8975  1 C 1.31
C 0.0000 0.0000 0.3987  1 C 1.29
C 0.5000 0.5000 0.1025  1 C 1.31
Pr 0.0000 0.0000 0.0000  10 C 2.54-2.75

Properties
Formation energy, eV per atom: -0.1157
Space group: P4/mmm



Q: The highest formation energy belongs to which entry?
A: U3Ga2Si3



Q: Number 2 is which compound?
A: PrDyC4